(1)
A relaxed BaLi2MnV2O8 crystal, computed with PBE+U.

Computed properties:
Raw total energy, eV/cell: -197.2
Calculated formation energy, meV per atom: -2607.3

```
28
Lattice="0.6947 3.0852 -4.3170 -3.3978 -4.5861 -7.1361 -8.3063 2.1730 -3.1005" Properties=species:S:1:pos:R:3 pbc="T T T"
O -6.5125 0.9373 -9.1377
O -6.2936 2.2397 -3.9705
O -8.9913 1.6652 -10.2009
O -3.4871 1.3291 -2.9241
O -8.0147 3.1920 -8.0743
O -3.4919 0.4029 -8.1468
O -2.0180 -0.9931 -4.3528
O -2.9946 -2.5210 -6.4784
O -5.9079 -1.7297 -7.9337
O -10.0017 0.0708 -12.6928
O -7.5229 -0.6571 -11.6295
O -4.7165 -1.5679 -10.5827
O -5.1018 2.4026 -6.6199
O -7.5177 0.2691 -6.4067
O -4.4970 -0.2652 -5.4168
O -1.0081 0.6013 -1.8602
Li -5.1985 0.5740 -3.7419
Li -2.3974 -1.2632 -7.9178
Li -8.6127 1.9348 -6.6354
Li -5.8106 0.0981 -10.8119
V -5.5724 3.2875 -5.1804
V -3.4656 -1.6344 -5.0401
V -7.5443 2.3066 -9.5142
V -5.4372 -2.6156 -9.3726
Ba -8.6039 -1.0394 -8.7570
Ba -2.4034 1.7104 -5.7977
Mn -5.5046 0.3406 -7.2793
Mn -7.6106 5.2564 -7.4153
```



(2)
A relaxed BaLi4NiO4 crystal, computed with PBE+U.

Computed properties:
SG: P2_1/c, No. 14
Raw total energy, eV/cell: -398.1
Calculated formation energy, meV per atom: -1992.9

```
80
Lattice="15.3063 0.0000 0.0000 0.0000 5.7372 0.0000 0.0000 3.5209 10.7011" Properties=species:S:1:pos:R:3 pbc="T T T"
Ni 0.3162 6.1127 7.5670
Ni 4.2804 5.9286 4.0283
Ni 11.9335 1.5691 1.3222
Ni 11.0258 3.3296 6.6727
Ni 7.9693 4.9059 8.4845
Ni 7.3370 4.3523 2.2165
Ni 3.3727 7.6890 9.3789
Ni 14.9901 3.1454 3.1340
Ba 6.7259 7.6869 7.1630
Ba 3.1400 3.0111 2.5586
Ba 12.1663 6.2470 8.1424
Ba 10.7931 4.4866 2.7919
Ba 8.5803 1.5712 3.5381
Ba 14.3791 3.3317 8.8886
Ba 4.5132 4.7716 7.9092
Ba 0.9272 5.9265 1.8125
Li 8.7830 4.0481 5.6411
Li 9.3828 6.0786 6.7116
Li 2.4304 6.8229 6.6137
Li 5.2227 5.0624 1.2632
Li 0.4403 3.9698 6.1492
Li 4.0234 2.4262 5.5446
Li 3.6297 0.6657 0.1941
Li 1.0869 2.0416 4.8747
Li 11.6765 8.5924 10.5070
Li 6.5232 5.2100 5.0600
Li 10.0835 4.1958 9.4379
Li 1.9642 3.0734 7.7550
Li 8.0935 7.0488 9.9024
Li 2.4257 4.9114 5.2512
Li 8.7400 5.4560 0.4759
Li 5.6889 1.3130 2.4045
Li 14.2194 7.2165 5.8264
Li 13.3420 6.1847 2.9460
Li 13.5766 4.3181 1.3611
Li 12.8806 4.3467 5.4499
Li 12.8758 2.4353 4.0873
Li 6.5663 3.8021 10.2252
Li 14.1764 2.2877 0.2906
Li 11.2828 6.8319 5.1565
Li 1.1299 6.9705 10.4105
Li 5.9235 3.1795 3.9895
Li 9.6174 7.9452 8.2966
Li 5.2275 6.6719 10.6017
Li 14.8659 5.2884 4.5519
Li 10.0788 2.5862 0.0993
Li 1.7296 4.9400 9.3400
Li 7.2128 2.2093 0.7987
O 3.8413 6.1341 2.0888
O 14.2349 5.2349 6.4520
O 14.7417 1.3639 3.9209
O 12.5665 2.3286 5.9954
O 5.9231 7.0256 4.4430
O 1.0714 4.0232 4.2490
O 11.4944 1.3635 3.2618
O 8.7245 3.4744 1.1015
O 2.7398 6.9295 4.7057
O 3.0853 5.9775 10.3577
O 15.1888 5.7318 9.3993
O 9.3831 2.2325 6.2580
O 7.0886 6.1338 1.4296
O 7.5357 5.2868 6.6523
O 0.1175 3.5263 1.3017
O 12.2210 3.2807 0.3434
O 4.9133 8.6900 10.0562
O 10.7384 5.0411 5.6939
O 9.5927 6.0528 8.8127
O 10.3929 0.5681 0.6449
O 1.9395 4.9658 7.2389
O 0.5645 7.8942 6.7801
O 11.4650 3.1240 8.6123
O 3.8118 7.8946 7.4393
O 7.7706 3.9713 4.0488
O 6.5818 5.7837 9.5996
O 4.5678 4.2170 5.0071
O 1.7300 8.7861 9.7936
O 8.2177 3.1244 9.2715
O 13.3667 4.2923 3.4622
O 5.7136 3.2053 1.8884
O 13.5762 0.4720 0.9075
```



(3)
A relaxed Ba2LiNi2O6 crystal, computed with PBE+U.

Computed properties:
SG: Cm, No. 8
Raw total energy, eV/cell: -57.7
Calculated formation energy, meV per atom: -1813.7
Distance to the lowest polymorph of the same formula, eV/atom: 0.0000

```
11
Lattice="6.0255 0.2773 -0.7072 -2.7726 4.8023 0.0000 -0.6391 -0.3690 5.0422" Properties=species:S:1:pos:R:3 pbc="T T T"
O 1.6269 4.1408 2.9169
O -0.3861 1.2812 3.7618
O 3.1366 3.5069 0.5807
O 1.1203 0.6468 1.4276
O 4.6054 0.9629 0.5807
O -1.8561 3.8273 3.7618
Ba 2.4222 1.3985 3.6253
Ba 0.3320 3.3932 0.7079
Ni -0.2523 -0.1457 2.5262
Ni 0.0672 0.0388 0.0047
Li -1.6328 2.2588 2.5219
```



> The lowest calculated formation energy belongs to which entry?

BaLi2MnV2O8



> Among the records above, which one has the lowest raw total energy?

BaLi4NiO4